The following is a PBE calculation of Sb after structural relaxation, from the Materials Project database.

Computed properties:
DFT total energy = -3.894 eV per atom
formation enthalpy at 0 K = 235 meV per atom

Lattice parameters (Å, degrees): 6.714 8.758 9.099 73.09 71.53 89.26
Space group P-1 (No. 2)
Asymmetric unit:
1 Sb 0.000 0.000 0.000 x1
2 Sb 0.000 0.500 0.500 x1
3 Sb 0.031 0.123 0.619 x2
4 Sb 0.097 0.295 0.264 x2
5 Sb 0.268 0.768 0.836 x2
6 Sb 0.380 0.745 0.374 x2
7 Sb 0.423 0.161 0.975 x2
8 Sb 0.500 0.000 0.500 x1
9 Sb 0.500 0.500 0.000 x1


The following is a PBE calculation of MgScS3 after structural relaxation, from the Materials Project database.

Computed properties:
DFT total energy = -5.248 eV per atom
formation enthalpy at 0 K = -1481 meV per atom

Lattice parameters (Å, degrees): 6.926 11.822 6.797 90.00 120.05 90.00
Space group C2/m (No. 12)
Asymmetric unit:
1 Mg 0.000 0.158 0.000 x4
2 Sc 0.082 0.500 0.291 x4
3 S 0.218 0.000 0.287 x4
4 S 0.226 0.341 0.175 x8


The following is a PBE calculation of RbH2O2F after structural relaxation, from the Materials Project database.

Computed properties:
DFT total energy = -4.556 eV per atom
formation enthalpy at 0 K = -1599 meV per atom

Lattice parameters (Å, degrees): 12.208 12.208 4.491 90.00 90.00 90.00
Space group P-42_1m (No. 113)
Asymmetric unit:
1 Rb 0.000 0.000 0.000 x2
2 Rb 0.000 0.500 0.266 x2
3 Rb 0.236 0.264 0.248 x4
4 H 0.040 0.285 0.728 x8
5 H 0.070 0.742 0.306 x8
6 O 0.003 0.788 0.361 x8
7 O 0.007 0.782 0.689 x8
8 F 0.114 0.386 0.773 x4
9 F 0.167 0.667 0.242 x4


The following is a PBE calculation of Mn3SnC after structural relaxation, from the Materials Project database.

Computed properties:
DFT total energy = -8.161 eV per atom
formation enthalpy at 0 K = -16 meV per atom

Lattice parameters (Å, degrees): 3.893 3.893 3.893 90.00 90.00 90.00
Space group Pm-3m (No. 221)
Asymmetric unit:
1 Mn 0.000 0.000 0.500 x3
2 Sn 0.500 0.500 0.500 x1
3 C 0.000 0.000 0.000 x1


The following is a PBE calculation of Co2As after structural relaxation, from the Materials Project database.

Computed properties:
DFT total energy = -6.239 eV per atom
formation enthalpy at 0 K = 53 meV per atom

Lattice parameters (Å, degrees): 3.9156 3.9156 2.7605 90.00 90.00 120.00
Space group P-6m2 (No. 187)
Asymmetric unit:
1 Co 0.0000 0.0000 0.0000 x1
2 Co 0.3333 0.6667 0.5000 x1
3 As 0.6667 0.3333 0.0000 x1


The following is a PBE calculation of Dy5Sn11 after structural relaxation, from the Materials Project database.

Computed properties:
DFT total energy = -4.768 eV per atom
formation enthalpy at 0 K = -572 meV per atom

Lattice parameters (Å, degrees): 4.389 4.471 42.916 90.00 90.00 90.00
Space group Immm (No. 71)
Asymmetric unit:
1 Dy 0.000 0.000 0.000 x2
2 Dy 0.000 0.000 0.383 x4
3 Dy 0.000 0.500 0.192 x4
4 Sn 0.000 0.000 0.131 x4
5 Sn 0.000 0.000 0.250 x4
6 Sn 0.000 0.000 0.500 x2
7 Sn 0.000 0.500 0.059 x4
8 Sn 0.000 0.500 0.320 x4
9 Sn 0.000 0.500 0.440 x4


The following is a PBE calculation of Dy3Pt4 after structural relaxation, from the Materials Project database.

Computed properties:
DFT total energy = -6.671 eV per atom
formation enthalpy at 0 K = -1227 meV per atom

Lattice parameters (Å, degrees): 13.2649 13.2649 5.7365 90.00 90.00 120.00
Space group R-3 (No. 148, hexagonal axes)
Asymmetric unit:
1 Dy 0.0410 0.8314 0.2389 x18
2 Pt 0.0000 0.0000 0.0000 x3
3 Pt 0.0000 0.0000 0.5000 x3
4 Pt 0.0517 0.7813 0.7232 x18


The following is a PBE calculation of Sr2ZnHg after structural relaxation, from the Materials Project database.

Computed properties:
DFT total energy = -1.592 eV per atom
formation enthalpy at 0 K = -356 meV per atom

Lattice parameters (Å, degrees): 7.951 7.951 7.951 90.00 90.00 90.00
Space group Fm-3m (No. 225)
Asymmetric unit:
1 Sr 0.250 0.250 0.250 x8
2 Zn 0.000 0.000 0.000 x4
3 Hg 0.000 0.000 0.500 x4